Record 1
Cd3H18S4N2O21 | PBE | optimized geometry

abc: 19.874 10.249 10.146
angles: 90.00 103.30 90.00
Fractional positions:
Cd (0.059, 0.217, 0.445)
Cd (0.059, 0.283, 0.945)
Cd (0.324, 0.153, 0.173)
Cd (0.324, 0.347, 0.673)
Cd (0.343, 0.635, 0.947)
Cd (0.343, 0.865, 0.447)
Cd (0.657, 0.135, 0.553)
Cd (0.657, 0.365, 0.053)
Cd (0.676, 0.653, 0.327)
Cd (0.676, 0.847, 0.827)
Cd (0.941, 0.717, 0.055)
Cd (0.941, 0.783, 0.555)
H (0.023, 0.645, 0.399)
H (0.023, 0.855, 0.899)
H (0.056, 0.607, 0.549)
H (0.056, 0.893, 0.049)
H (0.074, 0.646, 0.813)
H (0.074, 0.854, 0.313)
H (0.132, 0.140, 0.181)
H (0.132, 0.360, 0.681)
H (0.136, 0.719, 0.934)
H (0.136, 0.781, 0.434)
H (0.147, 0.703, 0.772)
H (0.147, 0.797, 0.272)
H (0.152, 0.574, 0.874)
H (0.152, 0.926, 0.374)
H (0.153, 0.074, 0.058)
H (0.153, 0.426, 0.558)
H (0.202, 0.509, 0.296)
H (0.202, 0.991, 0.796)
H (0.257, 0.589, 0.219)
H (0.257, 0.911, 0.719)
H (0.258, 0.076, 0.724)
H (0.258, 0.424, 0.224)
H (0.289, 0.516, 0.366)
H (0.289, 0.984, 0.866)
H (0.389, 0.123, 0.937)
H (0.389, 0.377, 0.437)
H (0.421, 0.087, 0.420)
H (0.421, 0.413, 0.920)
H (0.422, 0.022, 0.051)
H (0.422, 0.478, 0.551)
H (0.437, 0.506, 0.799)
H (0.437, 0.994, 0.299)
H (0.453, 0.694, 0.566)
H (0.453, 0.806, 0.066)
H (0.475, 0.739, 0.944)
H (0.475, 0.761, 0.444)
H (0.525, 0.239, 0.556)
H (0.525, 0.261, 0.056)
H (0.547, 0.194, 0.934)
H (0.547, 0.306, 0.434)
H (0.563, 0.006, 0.701)
H (0.563, 0.494, 0.201)
H (0.578, 0.522, 0.449)
H (0.578, 0.978, 0.949)
H (0.579, 0.587, 0.080)
H (0.579, 0.913, 0.580)
H (0.611, 0.623, 0.563)
H (0.611, 0.877, 0.063)
H (0.711, 0.016, 0.134)
H (0.711, 0.484, 0.634)
H (0.742, 0.576, 0.776)
H (0.742, 0.924, 0.276)
H (0.743, 0.089, 0.281)
H (0.743, 0.411, 0.781)
H (0.798, 0.009, 0.204)
H (0.798, 0.491, 0.704)
H (0.847, 0.574, 0.442)
H (0.847, 0.926, 0.942)
H (0.848, 0.074, 0.626)
H (0.848, 0.426, 0.126)
H (0.853, 0.203, 0.728)
H (0.853, 0.297, 0.228)
H (0.864, 0.219, 0.566)
H (0.864, 0.281, 0.066)
H (0.868, 0.640, 0.319)
H (0.868, 0.860, 0.819)
H (0.926, 0.146, 0.687)
H (0.926, 0.354, 0.187)
H (0.944, 0.107, 0.951)
H (0.944, 0.393, 0.451)
H (0.977, 0.145, 0.101)
H (0.977, 0.355, 0.601)
S (0.060, 0.026, 0.721)
S (0.060, 0.474, 0.221)
S (0.232, 0.145, 0.432)
S (0.232, 0.355, 0.932)
S (0.253, 0.660, 0.612)
S (0.253, 0.840, 0.112)
S (0.439, 0.088, 0.689)
S (0.439, 0.412, 0.189)
S (0.561, 0.588, 0.811)
S (0.561, 0.912, 0.311)
S (0.747, 0.160, 0.888)
S (0.747, 0.340, 0.388)
S (0.768, 0.645, 0.068)
S (0.768, 0.855, 0.568)
S (0.940, 0.526, 0.779)
S (0.940, 0.974, 0.279)
N (0.127, 0.661, 0.848)
N (0.127, 0.839, 0.348)
N (0.252, 0.509, 0.276)
N (0.252, 0.991, 0.776)
N (0.748, 0.009, 0.224)
N (0.748, 0.491, 0.724)
N (0.873, 0.161, 0.652)
N (0.873, 0.339, 0.152)
O (0.009, 0.583, 0.219)
O (0.009, 0.917, 0.719)
O (0.026, 0.150, 0.753)
O (0.026, 0.350, 0.253)
O (0.035, 0.680, 0.493)
O (0.035, 0.820, 0.993)
O (0.077, 0.040, 0.586)
O (0.077, 0.460, 0.086)
O (0.114, 0.115, 0.085)
O (0.114, 0.385, 0.585)
O (0.123, 0.504, 0.327)
O (0.123, 0.996, 0.827)
O (0.157, 0.159, 0.360)
O (0.157, 0.341, 0.860)
O (0.188, 0.723, 0.622)
O (0.188, 0.777, 0.122)
O (0.242, 0.203, 0.570)
O (0.242, 0.297, 0.070)
O (0.245, 0.514, 0.611)
O (0.245, 0.986, 0.111)
O (0.248, 0.002, 0.444)
O (0.248, 0.498, 0.944)
O (0.272, 0.700, 0.483)
O (0.272, 0.800, 0.983)
O (0.277, 0.213, 0.357)
O (0.277, 0.287, 0.857)
O (0.311, 0.702, 0.727)
O (0.311, 0.798, 0.227)
O (0.379, 0.069, 0.011)
O (0.379, 0.431, 0.511)
O (0.397, 0.171, 0.761)
O (0.397, 0.329, 0.261)
O (0.399, 0.031, 0.340)
O (0.399, 0.469, 0.840)
O (0.403, 0.538, 0.148)
O (0.403, 0.962, 0.648)
O (0.434, 0.721, 0.472)
O (0.434, 0.779, 0.972)
O (0.450, 0.159, 0.566)
O (0.450, 0.341, 0.066)
O (0.493, 0.564, 0.717)
O (0.493, 0.936, 0.217)
O (0.507, 0.064, 0.783)
O (0.507, 0.436, 0.283)
O (0.550, 0.659, 0.934)
O (0.550, 0.841, 0.434)
O (0.566, 0.221, 0.028)
O (0.566, 0.279, 0.528)
O (0.597, 0.038, 0.352)
O (0.597, 0.462, 0.852)
O (0.601, 0.531, 0.160)
O (0.601, 0.969, 0.660)
O (0.603, 0.671, 0.739)
O (0.603, 0.829, 0.239)
O (0.621, 0.569, 0.489)
O (0.621, 0.931, 0.989)
O (0.689, 0.202, 0.773)
O (0.689, 0.298, 0.273)
O (0.723, 0.713, 0.143)
O (0.723, 0.787, 0.643)
O (0.728, 0.200, 0.017)
O (0.728, 0.300, 0.517)
O (0.752, 0.502, 0.056)
O (0.752, 0.998, 0.556)
O (0.755, 0.014, 0.889)
O (0.755, 0.486, 0.389)
O (0.758, 0.703, 0.930)
O (0.758, 0.797, 0.430)
O (0.812, 0.223, 0.878)
O (0.812, 0.277, 0.378)
O (0.843, 0.659, 0.140)
O (0.843, 0.841, 0.640)
O (0.877, 0.004, 0.173)
O (0.877, 0.496, 0.673)
O (0.886, 0.615, 0.415)
O (0.886, 0.885, 0.915)
O (0.923, 0.540, 0.914)
O (0.923, 0.960, 0.414)
O (0.965, 0.180, 0.007)
O (0.965, 0.320, 0.507)
O (0.974, 0.650, 0.747)
O (0.974, 0.850, 0.247)
O (0.991, 0.083, 0.281)
O (0.991, 0.417, 0.781)

* formation enthalpy at 0 K: -1.406 eV/atom
* space group: P2_1/c, No. 14
* calculated volume: 2011 Å³/cell

***

Record 2
NaCdP3H8O10 | PBE | optimized geometry

abc: 9.493 15.538 15.190
angles: 90.00 90.00 90.00
Fractional positions:
Na (0.056, 0.151, 0.059)
Na (0.056, 0.349, 0.559)
Na (0.444, 0.651, 0.059)
Na (0.444, 0.849, 0.559)
Na (0.556, 0.151, 0.441)
Na (0.556, 0.349, 0.941)
Na (0.944, 0.651, 0.441)
Na (0.944, 0.849, 0.941)
Cd (0.053, 0.657, 0.046)
Cd (0.053, 0.843, 0.546)
Cd (0.447, 0.157, 0.046)
Cd (0.447, 0.343, 0.546)
Cd (0.553, 0.657, 0.454)
Cd (0.553, 0.843, 0.954)
Cd (0.947, 0.157, 0.454)
Cd (0.947, 0.343, 0.954)
P (0.033, 0.533, 0.244)
P (0.033, 0.967, 0.744)
P (0.235, 0.033, 0.512)
P (0.235, 0.467, 0.012)
P (0.241, 0.227, 0.878)
P (0.241, 0.273, 0.378)
P (0.259, 0.727, 0.878)
P (0.259, 0.773, 0.378)
P (0.265, 0.533, 0.512)
P (0.265, 0.967, 0.012)
P (0.467, 0.033, 0.244)
P (0.467, 0.467, 0.744)
P (0.533, 0.533, 0.256)
P (0.533, 0.967, 0.756)
P (0.735, 0.033, 0.988)
P (0.735, 0.467, 0.488)
P (0.741, 0.227, 0.622)
P (0.741, 0.273, 0.122)
P (0.759, 0.727, 0.622)
P (0.759, 0.773, 0.122)
P (0.765, 0.533, 0.988)
P (0.765, 0.967, 0.488)
P (0.967, 0.033, 0.256)
P (0.967, 0.467, 0.756)
H (0.038, 0.070, 0.646)
H (0.038, 0.430, 0.146)
H (0.081, 0.533, 0.602)
H (0.081, 0.967, 0.102)
H (0.150, 0.166, 0.301)
H (0.150, 0.334, 0.801)
H (0.182, 0.540, 0.242)
H (0.182, 0.960, 0.742)
H (0.235, 0.734, 0.185)
H (0.235, 0.766, 0.685)
H (0.237, 0.704, 0.601)
H (0.237, 0.796, 0.101)
H (0.241, 0.146, 0.837)
H (0.241, 0.354, 0.337)
H (0.247, 0.553, 0.422)
H (0.247, 0.947, 0.922)
H (0.253, 0.053, 0.422)
H (0.253, 0.447, 0.922)
H (0.259, 0.646, 0.837)
H (0.259, 0.854, 0.337)
H (0.263, 0.204, 0.601)
H (0.263, 0.296, 0.101)
H (0.265, 0.234, 0.185)
H (0.265, 0.266, 0.685)
H (0.318, 0.040, 0.242)
H (0.318, 0.460, 0.742)
H (0.350, 0.666, 0.301)
H (0.350, 0.834, 0.801)
H (0.419, 0.033, 0.602)
H (0.419, 0.467, 0.102)
H (0.462, 0.570, 0.646)
H (0.462, 0.930, 0.146)
H (0.538, 0.070, 0.854)
H (0.538, 0.430, 0.354)
H (0.581, 0.533, 0.898)
H (0.581, 0.967, 0.398)
H (0.650, 0.166, 0.199)
H (0.650, 0.334, 0.699)
H (0.682, 0.540, 0.258)
H (0.682, 0.960, 0.758)
H (0.735, 0.734, 0.315)
H (0.735, 0.766, 0.815)
H (0.737, 0.704, 0.899)
H (0.737, 0.796, 0.399)
H (0.741, 0.146, 0.663)
H (0.741, 0.354, 0.163)
H (0.747, 0.553, 0.078)
H (0.747, 0.947, 0.578)
H (0.753, 0.053, 0.078)
H (0.753, 0.447, 0.578)
H (0.759, 0.646, 0.663)
H (0.759, 0.854, 0.163)
H (0.763, 0.204, 0.899)
H (0.763, 0.296, 0.399)
H (0.765, 0.234, 0.315)
H (0.765, 0.266, 0.815)
H (0.818, 0.040, 0.258)
H (0.818, 0.460, 0.758)
H (0.850, 0.666, 0.199)
H (0.850, 0.834, 0.699)
H (0.919, 0.033, 0.898)
H (0.919, 0.467, 0.398)
H (0.962, 0.570, 0.854)
H (0.962, 0.930, 0.354)
O (0.001, 0.060, 0.707)
O (0.001, 0.440, 0.207)
O (0.020, 0.038, 0.162)
O (0.020, 0.462, 0.662)
O (0.023, 0.104, 0.318)
O (0.023, 0.396, 0.818)
O (0.105, 0.082, 0.545)
O (0.105, 0.418, 0.045)
O (0.108, 0.236, 0.934)
O (0.108, 0.264, 0.434)
O (0.120, 0.740, 0.926)
O (0.120, 0.760, 0.426)
O (0.126, 0.573, 0.555)
O (0.126, 0.927, 0.055)
O (0.233, 0.207, 0.297)
O (0.233, 0.293, 0.797)
O (0.234, 0.564, 0.025)
O (0.234, 0.936, 0.525)
O (0.238, 0.736, 0.120)
O (0.238, 0.764, 0.620)
O (0.262, 0.236, 0.120)
O (0.262, 0.264, 0.620)
O (0.266, 0.064, 0.025)
O (0.266, 0.436, 0.525)
O (0.267, 0.707, 0.297)
O (0.267, 0.793, 0.797)
O (0.374, 0.073, 0.555)
O (0.374, 0.427, 0.055)
O (0.380, 0.240, 0.926)
O (0.380, 0.260, 0.426)
O (0.392, 0.736, 0.934)
O (0.392, 0.764, 0.434)
O (0.395, 0.582, 0.545)
O (0.395, 0.918, 0.045)
O (0.477, 0.604, 0.318)
O (0.477, 0.896, 0.818)
O (0.480, 0.538, 0.162)
O (0.480, 0.962, 0.662)
O (0.499, 0.560, 0.707)
O (0.499, 0.940, 0.207)
O (0.501, 0.060, 0.793)
O (0.501, 0.440, 0.293)
O (0.520, 0.038, 0.338)
O (0.520, 0.462, 0.838)
O (0.523, 0.104, 0.182)
O (0.523, 0.396, 0.682)
O (0.605, 0.082, 0.955)
O (0.605, 0.418, 0.455)
O (0.608, 0.236, 0.566)
O (0.608, 0.264, 0.066)
O (0.620, 0.740, 0.574)
O (0.620, 0.760, 0.074)
O (0.626, 0.573, 0.945)
O (0.626, 0.927, 0.445)
O (0.733, 0.207, 0.203)
O (0.733, 0.293, 0.703)
O (0.734, 0.564, 0.475)
O (0.734, 0.936, 0.975)
O (0.738, 0.736, 0.380)
O (0.738, 0.764, 0.880)
O (0.762, 0.236, 0.380)
O (0.762, 0.264, 0.880)
O (0.766, 0.064, 0.475)
O (0.766, 0.436, 0.975)
O (0.767, 0.707, 0.203)
O (0.767, 0.793, 0.703)
O (0.874, 0.073, 0.945)
O (0.874, 0.427, 0.445)
O (0.880, 0.240, 0.574)
O (0.880, 0.260, 0.074)
O (0.892, 0.736, 0.566)
O (0.892, 0.764, 0.066)
O (0.895, 0.582, 0.955)
O (0.895, 0.918, 0.455)
O (0.977, 0.604, 0.182)
O (0.977, 0.896, 0.682)
O (0.980, 0.538, 0.338)
O (0.980, 0.962, 0.838)
O (0.999, 0.560, 0.793)
O (0.999, 0.940, 0.293)

* formation enthalpy at 0 K: -1.727 eV/atom
* space group: Pbca, No. 61
* calculated volume: 2241 Å³/cell